{"formula": "BeF2", "functional": "PBE", "state": "optimized geometry", "lattice": [[4.9169, 0.0000, 0.0000], [-2.4585, 4.2582, 0.0000], [0.0000, 0.0000, 5.3906]], "species": ["Be", "Be", "Be", "F", "F", "F", "F", "F", "F"], "fractional_positions": [[0.0000, 0.5000, 0.1667], [0.5000, 0.0000, 0.5000], [0.5000, 0.5000, 0.8333], [0.2099, 0.4198, 0.0000], [0.2099, 0.7901, 0.3333], [0.4198, 0.2099, 0.6667], [0.5802, 0.7901, 0.6667], [0.7901, 0.2099, 0.3333], [0.7901, 0.5802, 0.0000]], "de_polymorph_mev_per_atom": 1, "piezo_max_c_m2": 0.11}

{"formula": "BeF2", "functional": "PBE", "state": "optimized geometry", "lattice": [[-4.2804, 4.2804, 4.2804], [4.2804, -4.2804, 4.2804], [4.2804, 4.2804, -4.2804]], "species": ["Be", "Be", "Be", "Be", "Be", "Be", "F", "F", "F", "F", "F", "F", "F", "F", "F", "F", "F", "F"], "fractional_positions": [[0.2500, 0.5000, 0.7500], [0.2500, 0.7500, 0.5000], [0.5000, 0.2500, 0.7500], [0.5000, 0.7500, 0.2500], [0.7500, 0.2500, 0.5000], [0.7500, 0.5000, 0.2500], [0.0000, 0.3211, 0.6123], [0.0000, 0.6123, 0.3211], [0.2912, 0.6789, 0.6789], [0.3211, 0.0000, 0.6123], [0.3211, 0.6123, 0.0000], [0.3877, 0.3877, 0.7088], [0.3877, 0.7088, 0.3877], [0.6123, 0.0000, 0.3211], [0.6123, 0.3211, 0.0000], [0.6789, 0.2912, 0.6789], [0.6789, 0.6789, 0.2912], [0.7088, 0.3877, 0.3877]], "de_polymorph_mev_per_atom": 0, "piezo_max_c_m2": 0.05}

{"formula": "BeF2", "functional": "PBE", "state": "optimized geometry", "lattice": [[2.2986, -3.6786, 0.0000], [2.2986, 3.6786, 0.0000], [0.0000, 0.0000, 2.3959]], "species": ["Be", "F", "F"], "fractional_positions": [[0.0000, 0.0000, 0.0000], [0.1479, 0.8521, 0.5000], [0.8521, 0.1479, 0.5000]], "m_tot_mub_per_cell": 0.00, "de_polymorph_mev_per_atom": 481}

{"formula": "BeF2", "functional": "PBE", "state": "optimized geometry", "lattice": [[4.2694, -2.4374, 0.0000], [4.2694, 2.4374, 0.0000], [-0.4003, 0.0000, 9.0233]], "species": ["Be", "Be", "Be", "F", "F", "F", "F", "F", "F"], "fractional_positions": [[0.0000, 0.0000, 0.0000], [0.1357, 0.3942, 0.8334], [0.6058, 0.8643, 0.1666], [0.0821, 0.7091, 0.8952], [0.2909, 0.9179, 0.1048], [0.3857, 0.1882, 0.7400], [0.7031, 0.0754, 0.0908], [0.8118, 0.6143, 0.2600], [0.9246, 0.2969, 0.9092]], "m_tot_mub_per_cell": 0.00, "de_polymorph_mev_per_atom": 223}

{"formula": "BeH6N2F4", "functional": "PBE", "state": "optimized geometry", "lattice": [[5.4290, 0.0000, 0.0000], [0.0000, 7.8542, 0.0000], [-0.0942, 0.0000, 9.9470]], "species": ["Be", "Be", "Be", "Be", "H", "H", "H", "H", "H", "H", "H", "H", "H", "H", "H", "H", "H", "H", "H", "H", "H", "H", "H", "H", "H", "H", "H", "H", "N", "N", "N", "N", "N", "N", "N", "N", "F", "F", "F", "F", "F", "F", "F", "F", "F", "F", "F", "F", "F", "F", "F", "F"], "fractional_positions": [[0.2267, 0.2117, 0.4259], [0.2267, 0.2883, 0.9259], [0.7733, 0.7117, 0.0741], [0.7733, 0.7883, 0.5741], [0.0527, 0.5760, 0.2552], [0.0527, 0.9240, 0.7552], [0.1902, 0.6567, 0.8392], [0.1902, 0.8433, 0.3392], [0.2032, 0.6946, 0.4654], [0.2032, 0.8054, 0.9654], [0.3228, 0.6350, 0.1862], [0.3228, 0.8650, 0.6862], [0.3290, 0.0168, 0.8121], [0.3290, 0.4832, 0.3121], [0.4673, 0.7364, 0.8815], [0.4673, 0.7636, 0.3815], [0.5327, 0.2364, 0.6185], [0.5327, 0.2636, 0.1185], [0.6710, 0.5168, 0.6879], [0.6710, 0.9832, 0.1879], [0.6772, 0.1350, 0.3138], [0.6772, 0.3650, 0.8138], [0.7968, 0.1946, 0.0346], [0.7968, 0.3054, 0.5346], [0.8098, 0.1567, 0.6608], [0.8098, 0.3433, 0.1608], [0.9473, 0.0760, 0.2448], [0.9473, 0.4240, 0.7448], [0.2430, 0.5961, 0.2750], [0.2430, 0.9039, 0.7750], [0.2777, 0.7311, 0.3714], [0.2777, 0.7689, 0.8714], [0.7223, 0.2311, 0.1286], [0.7223, 0.2689, 0.6286], [0.7570, 0.0961, 0.2250], [0.7570, 0.4039, 0.7250], [0.0146, 0.6820, 0.5891], [0.0146, 0.8180, 0.0891], [0.2109, 0.0592, 0.3219], [0.2109, 0.4408, 0.8219], [0.2703, 0.1500, 0.5729], [0.2703, 0.3500, 0.0729], [0.4521, 0.1757, 0.8824], [0.4521, 0.3243, 0.3824], [0.5479, 0.6757, 0.6176], [0.5479, 0.8243, 0.1176], [0.7297, 0.6500, 0.9271], [0.7297, 0.8500, 0.4271], [0.7891, 0.5592, 0.1781], [0.7891, 0.9408, 0.6781], [0.9854, 0.1820, 0.9109], [0.9854, 0.3180, 0.4109]], "m_tot_mub_per_cell": 0.00}

{"formula": "BeH10N3F3", "functional": "PBE", "state": "optimized geometry", "lattice": [[6.6409, 0.0000, 0.0000], [0.0000, 8.4174, 0.0000], [0.0000, 0.0000, 10.9274]], "species": ["Be", "Be", "Be", "Be", "H", "H", "H", "H", "H", "H", "H", "H", "H", "H", "H", "H", "H", "H", "H", "H", "H", "H", "H", "H", "H", "H", "H", "H", "H", "H", "H", "H", "H", "H", "H", "H", "H", "H", "H", "H", "H", "H", "H", "H", "N", "N", "N", "N", "N", "N", "N", "N", "N", "N", "N", "N", "F", "F", "F", "F", "F", "F", "F", "F", "F", "F", "F", "F"], "fractional_positions": [[0.0445, 0.1415, 0.1060], [0.4555, 0.8585, 0.6060], [0.5445, 0.3585, 0.8940], [0.9555, 0.6415, 0.3940], [0.0298, 0.1429, 0.8379], [0.0436, 0.7131, 0.8044], [0.0446, 0.4188, 0.1573], [0.0533, 0.8838, 0.4800], [0.1429, 0.1961, 0.3521], [0.1473, 0.0777, 0.7095], [0.1881, 0.2653, 0.7604], [0.1934, 0.3839, 0.0420], [0.2011, 0.3385, 0.4494], [0.2005, 0.8419, 0.9658], [0.2995, 0.1581, 0.4658], [0.2989, 0.6615, 0.9494], [0.3066, 0.6161, 0.5420], [0.3119, 0.7347, 0.2604], [0.3527, 0.9223, 0.2095], [0.3571, 0.8039, 0.8521], [0.4467, 0.1162, 0.9800], [0.4554, 0.5812, 0.6573], [0.4564, 0.2869, 0.3044], [0.4702, 0.8571, 0.3379], [0.5298, 0.3571, 0.1621], [0.5436, 0.7869, 0.1956], [0.5446, 0.0812, 0.8427], [0.5533, 0.6162, 0.5200], [0.6429, 0.3039, 0.6479], [0.6473, 0.4223, 0.2905], [0.6881, 0.2347, 0.2396], [0.6934, 0.1161, 0.9580], [0.7011, 0.1615, 0.5506], [0.7005, 0.6581, 0.0342], [0.7995, 0.3419, 0.5342], [0.7989, 0.8385, 0.0506], [0.8066, 0.8839, 0.4580], [0.8119, 0.7653, 0.7396], [0.8527, 0.5777, 0.7905], [0.8571, 0.6961, 0.1479], [0.9467, 0.3838, 0.0200], [0.9554, 0.9188, 0.3427], [0.9564, 0.2131, 0.6956], [0.9702, 0.6429, 0.6621], [0.0579, 0.3496, 0.0799], [0.0806, 0.1759, 0.7517], [0.2421, 0.7577, 0.9035], [0.2579, 0.2423, 0.4035], [0.4194, 0.8241, 0.2517], [0.4421, 0.6504, 0.5799], [0.5579, 0.1504, 0.9201], [0.5806, 0.3241, 0.2483], [0.7421, 0.7423, 0.0965], [0.7579, 0.2577, 0.5965], [0.9194, 0.6759, 0.7483], [0.9421, 0.8496, 0.4201], [0.0380, 0.5662, 0.5155], [0.0993, 0.6132, 0.2835], [0.2408, 0.9248, 0.6300], [0.2592, 0.0752, 0.1300], [0.4007, 0.3868, 0.7835], [0.4620, 0.4338, 0.0155], [0.5380, 0.9338, 0.4845], [0.5993, 0.8868, 0.7165], [0.7408, 0.5752, 0.3700], [0.7592, 0.4248, 0.8700], [0.9007, 0.1132, 0.2165], [0.9620, 0.0662, 0.9845]], "m_tot_mub_per_cell": 0.00}

{"formula": "HoBeNF6", "functional": "PBE", "state": "optimized geometry", "lattice": [[6.5471, 0.0000, 0.0000], [0.0000, 6.0070, 0.0000], [-2.5471, 0.0000, 6.8952]], "species": ["Ho", "Ho", "Be", "Be", "N", "N", "F", "F", "F", "F", "F", "F", "F", "F", "F", "F", "F", "F"], "fractional_positions": [[0.1522, 0.2500, 0.2347], [0.8478, 0.7500, 0.7653], [0.2719, 0.7500, 0.5398], [0.7281, 0.2500, 0.4602], [0.2441, 0.2500, 0.8564], [0.7559, 0.7500, 0.1436], [0.0935, 0.7500, 0.6332], [0.1486, 0.0574, 0.9454], [0.1486, 0.4426, 0.9454], [0.2505, 0.5417, 0.4061], [0.2505, 0.9583, 0.4061], [0.5002, 0.2500, 0.2972], [0.4998, 0.7500, 0.7028], [0.7495, 0.0417, 0.5939], [0.7495, 0.4583, 0.5939], [0.8514, 0.5574, 0.0546], [0.8514, 0.9426, 0.0546], [0.9065, 0.2500, 0.3668]], "m_tot_mub_per_cell": 0.00}

{"formula": "K2BeF4", "functional": "PBE", "state": "optimized geometry", "lattice": [[7.4010, 0.0000, 0.0000], [0.0000, 10.0531, 0.0000], [0.0000, 0.0000, 5.7820]], "species": ["K", "K", "K", "K", "K", "K", "K", "K", "Be", "Be", "Be", "Be", "F", "F", "F", "F", "F", "F", "F", "F", "F", "F", "F", "F", "F", "F", "F", "F"], "fractional_positions": [[0.0033, 0.1948, 0.0000], [0.1600, 0.4129, 0.4885], [0.3400, 0.9129, 0.9885], [0.4967, 0.6948, 0.5000], [0.5033, 0.3052, 0.0000], [0.6600, 0.0871, 0.4885], [0.8400, 0.5871, 0.9885], [0.9967, 0.8052, 0.5000], [0.2288, 0.0832, 0.4903], [0.2712, 0.5832, 0.9903], [0.7288, 0.4168, 0.4903], [0.7712, 0.9168, 0.9903], [0.0206, 0.0800, 0.4695], [0.1860, 0.4388, 0.9923], [0.1916, 0.6586, 0.7760], [0.2096, 0.6549, 0.2184], [0.2904, 0.1549, 0.7184], [0.3084, 0.1586, 0.2760], [0.3140, 0.9388, 0.4923], [0.4794, 0.5800, 0.9695], [0.5206, 0.4200, 0.4695], [0.6860, 0.0612, 0.9923], [0.6916, 0.8414, 0.7760], [0.7096, 0.8451, 0.2184], [0.7904, 0.3451, 0.7184], [0.8084, 0.3414, 0.2760], [0.8140, 0.5612, 0.4923], [0.9794, 0.9200, 0.9695]], "m_tot_mub_per_cell": 0.00}

{"formula": "K2BeF4", "functional": "PBE", "state": "optimized geometry", "lattice": [[7.4039, 0.0000, 0.0000], [0.0000, 5.7815, 0.0000], [0.0000, 0.0000, 10.0665]], "species": ["K", "K", "K", "K", "K", "K", "K", "K", "Be", "Be", "Be", "Be", "F", "F", "F", "F", "F", "F", "F", "F", "F", "F", "F", "F", "F", "F", "F", "F"], "fractional_positions": [[0.0091, 0.2500, 0.1934], [0.1602, 0.7500, 0.4121], [0.3398, 0.2500, 0.9121], [0.4909, 0.7500, 0.6934], [0.5091, 0.2500, 0.3066], [0.6602, 0.7500, 0.0879], [0.8398, 0.2500, 0.5879], [0.9909, 0.7500, 0.8066], [0.2315, 0.7500, 0.0808], [0.2685, 0.2500, 0.5808], [0.7315, 0.7500, 0.4192], [0.7685, 0.2500, 0.9192], [0.0215, 0.7500, 0.0804], [0.1891, 0.2500, 0.4351], [0.1966, 0.0294, 0.6544], [0.1966, 0.4706, 0.6544], [0.3034, 0.5294, 0.1544], [0.3034, 0.9706, 0.1544], [0.3109, 0.7500, 0.9351], [0.4785, 0.2500, 0.5804], [0.5215, 0.7500, 0.4196], [0.6891, 0.2500, 0.0649], [0.6966, 0.0294, 0.8456], [0.6966, 0.4706, 0.8456], [0.8034, 0.5294, 0.3456], [0.8034, 0.9706, 0.3456], [0.8109, 0.7500, 0.5649], [0.9785, 0.2500, 0.9196]]}

{"formula": "KBeF3", "functional": "PBE", "state": "optimized geometry", "lattice": [[4.5094, 0.0000, 0.0000], [0.0000, 5.5478, 0.0000], [0.0000, 0.0000, 12.2141]], "species": ["K", "K", "K", "K", "Be", "Be", "Be", "Be", "F", "F", "F", "F", "F", "F", "F", "F", "F", "F", "F", "F"], "fractional_positions": [[0.2184, 0.1837, 0.3593], [0.2816, 0.8163, 0.8593], [0.7184, 0.3163, 0.6407], [0.7816, 0.6837, 0.1407], [0.1553, 0.8023, 0.5698], [0.3447, 0.1977, 0.0698], [0.6553, 0.6977, 0.4302], [0.8447, 0.3023, 0.9302], [0.1928, 0.2804, 0.9570], [0.2217, 0.0685, 0.5894], [0.2300, 0.6279, 0.6619], [0.2700, 0.3721, 0.1619], [0.2783, 0.9315, 0.0894], [0.3072, 0.7196, 0.4570], [0.6928, 0.2196, 0.0430], [0.7217, 0.4315, 0.4106], [0.7300, 0.8721, 0.3381], [0.7700, 0.1279, 0.8381], [0.7783, 0.5685, 0.9106], [0.8072, 0.7804, 0.5430]]}

{"formula": "KLiBeF4", "functional": "PBE", "state": "optimized geometry", "lattice": [[5.1391, 0.0000, 0.0000], [-2.5695, 4.4506, 0.0000], [0.0000, 0.0000, 8.7457]], "species": ["K", "K", "Li", "Li", "Be", "Be", "F", "F", "F", "F", "F", "F", "F", "F"], "fractional_positions": [[0.0000, 0.0000, 0.0000], [0.0000, 0.0000, 0.5000], [0.3333, 0.6667, 0.3050], [0.6667, 0.3333, 0.8050], [0.3333, 0.6667, 0.6973], [0.6667, 0.3333, 0.1973], [0.0419, 0.3794, 0.7528], [0.3333, 0.6667, 0.5180], [0.3374, 0.9581, 0.7528], [0.3794, 0.3374, 0.2528], [0.6206, 0.6626, 0.7528], [0.6626, 0.0419, 0.2528], [0.6667, 0.3333, 0.0180], [0.9581, 0.6206, 0.2528]], "piezo_max_c_m2": 0.53}

{"formula": "K2Be2PbF8", "functional": "PBE", "state": "optimized geometry", "lattice": [[2.7641, 1.5958, 6.9294], [-2.7641, 1.5958, 6.9294], [0.0000, -3.1917, 6.9294]], "species": ["K", "K", "Be", "Be", "Pb", "F", "F", "F", "F", "F", "F", "F", "F"], "fractional_positions": [[0.2032, 0.2032, 0.2032], [0.7968, 0.7968, 0.7968], [0.4018, 0.4018, 0.4018], [0.5982, 0.5982, 0.5982], [0.0000, 0.0000, 0.0000], [0.2625, 0.7283, 0.7283], [0.2717, 0.2717, 0.7375], [0.2717, 0.7375, 0.2717], [0.3274, 0.3274, 0.3274], [0.6726, 0.6726, 0.6726], [0.7283, 0.2625, 0.7283], [0.7283, 0.7283, 0.2625], [0.7375, 0.2717, 0.2717]], "m_tot_mub_per_cell": 0.00}

MP2020-corrected energy, record by record: -6.073; -6.073; -5.593; -5.850; -5.257; -5.195; -5.869; -5.268; -5.269; -5.528; -5.415; -5.448 eV/atom
Formation enthalpy at 0 K, record by record: -10.65; -10.65; -9.21; -9.98; -19.91; -19.90; -24.67; -23.26; -23.27; -17.05; -23.49; -42.09 eV per formula unit
Uncorrected energy, record by record: -5.76; -5.77; -5.28; -5.54; -5.11; -5.11; -5.56; -5.00; -5.01; -5.25; -5.15; -5.16 eV per atom